[1]
# TlIn3, optimized geometry, DFT PBE
data_TlIn3
_chemical_formula_sum 'Tl2 In6'
_cell_length_a 6.8289
_cell_length_b 6.8289
_cell_length_c 5.7834
_cell_angle_alpha 90.00
_cell_angle_beta 90.00
_cell_angle_gamma 120.00
_space_group_name_H-M_alt 'P 1'
_space_group_IT_number 1
loop_
_space_group_symop_operation_xyz
'x,y,z'
loop_
_atom_site_label
_atom_site_type_symbol
_atom_site_fract_x
_atom_site_fract_y
_atom_site_fract_z
In1 In 0.1636 0.8364 0.2500
In2 In 0.8364 0.6728 0.7500
In3 In 0.6728 0.8364 0.2500
In4 In 0.8364 0.1636 0.7500
In5 In 0.1636 0.3272 0.2500
In6 In 0.3272 0.1636 0.7500
Tl1 Tl 0.6667 0.3333 0.2500
Tl2 Tl 0.3333 0.6667 0.7500
# Mass density   7.8 g/cm³
# V   29.2 Å³/atom
# Symmetry   P6_3/mmc
# Formation energy   0.045 eV per atom

[2]
# NpAl2Pd5, optimized geometry, DFT PBE
data_NpAl2Pd5
_chemical_formula_sum 'Np1 Al2 Pd5'
_cell_length_a 8.0761
_cell_length_b 8.0761
_cell_length_c 8.0761
_cell_angle_alpha 150.02
_cell_angle_beta 150.02
_cell_angle_gamma 42.91
_space_group_name_H-M_alt 'P 1'
_space_group_IT_number 1
loop_
_space_group_symop_operation_xyz
'x,y,z'
loop_
_atom_site_label
_atom_site_type_symbol
_atom_site_fract_x
_atom_site_fract_y
_atom_site_fract_z
Pd1 Pd 0.1455 0.6455 0.5000
Pd2 Pd 0.3545 0.8545 0.5000
Pd3 Pd 0.6455 0.1455 0.5000
Pd4 Pd 0.5000 0.5000 0.0000
Pd5 Pd 0.8545 0.3545 0.5000
Al1 Al 0.7466 0.7466 0.0000
Al2 Al 0.2534 0.2534 0.0000
Np1 Np 0.0000 0.0000 0.0000
# Mass density   10.4 g/cm³
# V   16.4 Å³/atom
# Symmetry   I4/mmm
# Formation energy   -0.703 eV per atom

[3]
# Hg, optimized geometry, DFT PBE
data_Hg
_chemical_formula_sum 'Hg3'
_cell_length_a 3.6058
_cell_length_b 3.6058
_cell_length_c 8.6983
_cell_angle_alpha 78.01
_cell_angle_beta 78.01
_cell_angle_gamma 60.06
_space_group_name_H-M_alt 'P 1'
_space_group_IT_number 1
loop_
_space_group_symop_operation_xyz
'x,y,z'
loop_
_atom_site_label
_atom_site_type_symbol
_atom_site_fract_x
_atom_site_fract_y
_atom_site_fract_z
Hg1 Hg 0.7775 0.7775 0.6637
Hg2 Hg 0.2225 0.2225 0.3363
Hg3 Hg 0.0000 0.0000 0.0000
# Excess energy over the best structure of this formula in the dataset   1 meV per atom
# Mass density   10.5 g/cm³
# V   31.7 Å³/atom
# Symmetry   C2/m
# Formation energy   0.001 eV per atom

[4]
# Y4OsBr4, optimized geometry, DFT PBE
data_Y4OsBr4
_chemical_formula_sum 'Y8 Os2 Br8'
_cell_length_a 8.9826
_cell_length_b 8.9826
_cell_length_c 6.5904
_cell_angle_alpha 89.51
_cell_angle_beta 89.51
_cell_angle_gamma 89.36
_space_group_name_H-M_alt 'P 1'
_space_group_IT_number 1
loop_
_space_group_symop_operation_xyz
'x,y,z'
loop_
_atom_site_label
_atom_site_type_symbol
_atom_site_fract_x
_atom_site_fract_y
_atom_site_fract_z
Br1 Br 0.8103 0.5853 0.4052
Br2 Br 0.5853 0.8103 0.9052
Br3 Br 0.1897 0.4147 0.5948
Br4 Br 0.5809 0.1828 0.5923
Br5 Br 0.1828 0.5809 0.0923
Br6 Br 0.4147 0.1897 0.0948
Br7 Br 0.8172 0.4191 0.9077
Br8 Br 0.4191 0.8172 0.4077
Y1 Y 0.7515 0.9023 0.5085
Y2 Y 0.9010 0.2496 0.5104
Y3 Y 0.7504 0.0990 0.9896
Y4 Y 0.2496 0.9010 0.0104
Y5 Y 0.2485 0.0977 0.4915
Y6 Y 0.0977 0.2485 0.9915
Y7 Y 0.0990 0.7504 0.4896
Y8 Y 0.9023 0.7515 0.0085
Os1 Os 0.9951 0.0049 0.2500
Os2 Os 0.0049 0.9951 0.7500
# Mass density   5.4 g/cm³
# Total energy after the MP2020 corrections   -6.376 eV/atom
# V   29.5 Å³/atom
# Symmetry   C2/c
# Formation energy   -1.527 eV per atom

[5]
# Hf5CuSb3, optimized geometry, DFT PBE
data_Hf5CuSb3
_chemical_formula_sum 'Hf10 Cu2 Sb6'
_cell_length_a 8.5750
_cell_length_b 8.5750
_cell_length_c 5.7589
_cell_angle_alpha 90.00
_cell_angle_beta 90.00
_cell_angle_gamma 120.00
_space_group_name_H-M_alt 'P 1'
_space_group_IT_number 1
loop_
_space_group_symop_operation_xyz
'x,y,z'
loop_
_atom_site_label
_atom_site_type_symbol
_atom_site_fract_x
_atom_site_fract_y
_atom_site_fract_z
Sb1 Sb 0.3853 0.3853 0.7500
Sb2 Sb 0.0000 0.6147 0.7500
Sb3 Sb 0.6147 0.0000 0.7500
Sb4 Sb 0.0000 0.3853 0.2500
Sb5 Sb 0.6147 0.6147 0.2500
Sb6 Sb 0.3853 0.0000 0.2500
Hf1 Hf 0.0000 0.2652 0.7500
Hf2 Hf 0.7348 0.0000 0.2500
Hf3 Hf 0.3333 0.6667 0.5000
Hf4 Hf 0.2652 0.2652 0.2500
Hf5 Hf 0.7348 0.7348 0.7500
Hf6 Hf 0.3333 0.6667 0.0000
Hf7 Hf 0.6667 0.3333 0.0000
Hf8 Hf 0.2652 0.0000 0.7500
Hf9 Hf 0.0000 0.7348 0.2500
Hf10 Hf 0.6667 0.3333 0.5000
Cu1 Cu 0.0000 0.0000 0.5000
Cu2 Cu 0.0000 0.0000 0.0000
# Mass density   12.0 g/cm³
# Total energy after the MP2020 corrections   -7.908 eV/atom
# V   20.4 Å³/atom
# Symmetry   P6_3/mcm
# Formation energy   -0.544 eV per atom

[6]
# Si5P6O25, optimized geometry, DFT PBE
data_Si5P6O25
_chemical_formula_sum 'Si5 P6 O25'
_cell_length_a 9.3268
_cell_length_b 9.3268
_cell_length_c 9.3268
_cell_angle_alpha 50.66
_cell_angle_beta 50.66
_cell_angle_gamma 50.66
_space_group_name_H-M_alt 'P 1'
_space_group_IT_number 1
loop_
_space_group_symop_operation_xyz
'x,y,z'
loop_
_atom_site_label
_atom_site_type_symbol
_atom_site_fract_x
_atom_site_fract_y
_atom_site_fract_z
O1 O 0.7289 0.0732 0.7829
O2 O 0.8516 0.9063 0.5730
O3 O 0.2171 0.2711 0.9268
O4 O 0.8960 0.9771 0.2490
O5 O 0.5936 0.2123 0.4234
O6 O 0.9268 0.2171 0.2711
O7 O 0.9771 0.2490 0.8960
O8 O 0.2123 0.4234 0.5936
O9 O 0.7510 0.1040 0.0229
O10 O 0.4270 0.1484 0.0937
O11 O 0.0732 0.7829 0.7289
O12 O 0.4234 0.5936 0.2123
O13 O 0.2490 0.8960 0.9771
O14 O 0.7829 0.7289 0.0732
O15 O 0.5766 0.4064 0.7877
O16 O 0.1040 0.0229 0.7510
O17 O 0.1484 0.0937 0.4270
O18 O 0.9063 0.5730 0.8516
O19 O 0.0229 0.7510 0.1040
O20 O 0.4064 0.7877 0.5766
O21 O 0.7877 0.5766 0.4064
O22 O 0.5730 0.8516 0.9063
O23 O 0.2711 0.9268 0.2171
O24 O 0.5000 0.5000 0.5000
O25 O 0.0937 0.4270 0.1484
P1 P 0.8257 0.0744 0.3773
P2 P 0.1743 0.9256 0.6227
P3 P 0.0744 0.3773 0.8257
P4 P 0.6227 0.1743 0.9256
P5 P 0.3773 0.8257 0.0744
P6 P 0.9256 0.6227 0.1743
Si1 Si 0.4340 0.4340 0.4340
Si2 Si 0.0000 0.0000 0.0000
Si3 Si 0.8192 0.8192 0.8192
Si4 Si 0.5660 0.5660 0.5660
Si5 Si 0.1808 0.1808 0.1808
# Mass density   2.7 g/cm³
# Total energy after the MP2020 corrections   -7.964 eV/atom
# V   12.4 Å³/atom
# Symmetry   R-3
# Formation energy   -2.872 eV per atom